No. 1
A geometry-optimized LiMg6Si structure. Source: the Materials Project database, functional PBE.

Cell: 4.9614 6.2123 10.7603 Å, 90.00 90.00 90.00°
Closest atoms and distances in Å follow each position.
Sites, in units of the cell vectors:
1 Mg 0.5000 0.7524 0.9146  2 Li 3.06, 8 Mg 3.06-3.14, 2 Si 3.07-3.14
2 Mg 0.5000 0.0000 0.1675  10 Mg 3.06-3.13, 2 Si 3.11
3 Mg 0.0000 0.7558 0.5855  8 Mg 3.03-3.18, 2 Si 3.04, 2 Li 3.04-3.17
4 Li 0.0000 0.0000 0.8303  2 Si 3.04, 10 Mg 3.04-3.17
5 Mg 0.0000 0.0000 0.3342  10 Mg 3.06-3.11, 2 Li 3.11
6 Mg 0.5000 0.2476 0.9146  2 Li 3.06, 8 Mg 3.06-3.14, 2 Si 3.07-3.14
7 Mg 0.5000 0.5000 0.6675  10 Mg 3.06-3.13, 2 Si 3.11
8 Si 0.5000 0.0000 0.6677  2 Li 3.04, 10 Mg 3.04-3.14
9 Mg 0.0000 0.5000 0.8342  10 Mg 3.06-3.11, 2 Li 3.11
10 Mg 0.0000 0.2558 0.0855  8 Mg 3.03-3.18, 2 Si 3.04, 2 Li 3.04-3.17
11 Li 0.0000 0.5000 0.3303  2 Si 3.04, 10 Mg 3.04-3.17
12 Mg 0.5000 0.7476 0.4146  2 Li 3.06, 8 Mg 3.06-3.14, 2 Si 3.07-3.14
13 Mg 0.0000 0.7442 0.0855  8 Mg 3.03-3.18, 2 Si 3.04, 2 Li 3.04-3.17
14 Mg 0.5000 0.2524 0.4146  2 Li 3.06, 8 Mg 3.06-3.14, 2 Si 3.07-3.14
15 Mg 0.0000 0.2442 0.5855  8 Mg 3.03-3.18, 2 Si 3.04, 2 Li 3.04-3.17
16 Si 0.5000 0.5000 0.1677  2 Li 3.04, 10 Mg 3.04-3.14

## Properties
The value obtained for the energy of formation from the pure elements is 0.025 eV per atom. The value obtained for the total magnetic moment is 0.0 μB per cell.

=====

No. 2
A geometry-optimized UTl2Te2O8 structure. Source: the Materials Project database, functional PBE.

Cell: 5.5368 8.5061 21.9507 Å, 90.00 102.72 90.00°
Closest atoms and distances in Å follow each position.
Sites, in units of the cell vectors:
1 U 0.0969 0.1748 0.3574  2 O 1.87-1.88
2 U 0.0969 0.3252 0.8574  2 O 1.87-1.88
3 U 0.9031 0.6748 0.1426  2 O 1.87-1.88
4 U 0.9031 0.8252 0.6426  2 O 1.87-1.88
5 Tl 0.0833 0.6652 0.3528  1 O 2.47
6 Tl 0.0833 0.8348 0.8528  1 O 2.47
7 Tl 0.2927 0.1135 0.5497  4 O 2.68-2.95
8 Tl 0.2927 0.3865 0.0497  4 O 2.68-2.95
9 Tl 0.7073 0.6135 0.9503  4 O 2.68-2.95
10 Tl 0.7073 0.8865 0.4503  4 O 2.68-2.95
11 Tl 0.9167 0.1652 0.1472  1 O 2.47
12 Tl 0.9167 0.3348 0.6472  1 O 2.47
13 Te 0.3249 0.5830 0.5527  3 O 1.87-1.93
14 Te 0.3249 0.9170 0.0527  3 O 1.87-1.93
15 Te 0.4881 0.0773 0.7304  3 O 1.87-1.94
16 Te 0.4881 0.4227 0.2304  3 O 1.87-1.94
17 Te 0.5119 0.5773 0.7696  3 O 1.87-1.94
18 Te 0.5119 0.9227 0.2696  3 O 1.87-1.94
19 Te 0.6751 0.0830 0.9473  3 O 1.87-1.93
20 Te 0.6751 0.4170 0.4473  3 O 1.87-1.93
21 O 0.0771 0.6806 0.7002  1 U 1.87
22 O 0.0771 0.8194 0.2002  1 U 1.87
23 O 0.1214 0.7464 0.0703  1 Te 1.93
24 O 0.1214 0.7536 0.5703  1 Te 1.93
25 O 0.1729 0.0117 0.6787  1 Te 1.94
26 O 0.1729 0.4883 0.1787  1 Te 1.94
27 O 0.2724 0.0362 0.4177  1 U 1.88
28 O 0.2724 0.4638 0.9177  1 U 1.88
29 O 0.3191 0.0955 0.2892  1 Te 1.92
30 O 0.3191 0.4045 0.7892  1 Te 1.92
31 O 0.3754 0.1314 0.8887  1 Te 1.91
32 O 0.3754 0.3686 0.3887  1 Te 1.91
33 O 0.3932 0.6586 0.4780  1 Te 1.87
34 O 0.3932 0.8414 0.9780  1 Te 1.87
35 O 0.4650 0.7303 0.8270  1 Te 1.87
36 O 0.4650 0.7697 0.3270  1 Te 1.87
37 O 0.5350 0.2303 0.6730  1 Te 1.87
38 O 0.5350 0.2697 0.1730  1 Te 1.87
39 O 0.6068 0.1586 0.0220  1 Te 1.87
40 O 0.6068 0.3414 0.5220  1 Te 1.87
41 O 0.6246 0.6314 0.6113  1 Te 1.91
42 O 0.6246 0.8686 0.1113  1 Te 1.91
43 O 0.6809 0.5955 0.2108  1 Te 1.92
44 O 0.6809 0.9045 0.7108  1 Te 1.92
45 O 0.7276 0.5362 0.0823  1 U 1.88
46 O 0.7276 0.9638 0.5823  1 U 1.88
47 O 0.8271 0.5117 0.8213  1 Te 1.94
48 O 0.8271 0.9883 0.3213  1 Te 1.94
49 O 0.8786 0.2464 0.4297  1 Te 1.93
50 O 0.8786 0.2536 0.9297  1 Te 1.93
51 O 0.9229 0.1806 0.7998  1 U 1.87
52 O 0.9229 0.3194 0.2998  1 U 1.87

## Properties
The value obtained for the energy of formation from the pure elements is -2.082 eV per atom. The space group is P2_1/c (14). The value obtained for the total magnetic moment is 0.0 μB per cell.

=====

No. 3
A geometry-optimized Sb3Pb structure. Source: the Materials Project database, functional PBE.

Cell: 6.7711 6.7711 5.8423 Å, 90.00 90.00 120.00°
Closest atoms and distances in Å follow each position.
Sites, in units of the cell vectors:
1 Sb 0.1613 0.3227 0.2500  8 Sb 3.28-3.49, 4 Pb 3.39-3.55
2 Sb 0.1613 0.8387 0.2500  8 Sb 3.28-3.49, 4 Pb 3.39-3.55
3 Sb 0.3227 0.1613 0.7500  8 Sb 3.28-3.49, 4 Pb 3.39-3.55
4 Sb 0.6773 0.8387 0.2500  8 Sb 3.28-3.49, 4 Pb 3.39-3.55
5 Sb 0.8387 0.1613 0.7500  8 Sb 3.28-3.49, 4 Pb 3.39-3.55
6 Sb 0.8387 0.6773 0.7500  8 Sb 3.28-3.49, 4 Pb 3.39-3.55
7 Pb 0.3333 0.6667 0.7500  12 Sb 3.39-3.55
8 Pb 0.6667 0.3333 0.2500  12 Sb 3.39-3.55

## Properties
The value obtained for the energy of formation from the pure elements is 0.204 eV per atom. The space group is P6_3/mmc (194). The value obtained for the total magnetic moment is 0.0 μB per cell.

=====

No. 4
A geometry-optimized LiSn2P3O12 structure. Source: the Materials Project database, functional PBE.

Cell: 8.5112 8.5129 9.0878 Å, 117.91 90.15 119.42°
Closest atoms and distances in Å follow each position.
Sites, in units of the cell vectors:
1 Li 0.2468 0.0623 0.1313  4 O 1.97-2.18
2 Li 0.7532 0.9377 0.8687  4 O 1.97-2.18
3 Sn 0.1556 0.3053 0.9471  6 O 2.03-2.11
4 Sn 0.3548 0.7179 0.5680  6 O 2.03-2.10
5 Sn 0.6452 0.2821 0.4320  6 O 2.03-2.10
6 Sn 0.8444 0.6947 0.0529  6 O 2.03-2.11
7 P 0.0403 0.7912 0.7538  4 O 1.52-1.57
8 P 0.2507 0.7901 0.2484  4 O 1.53-1.57
9 P 0.4602 0.4999 0.7459  4 O 1.53-1.58
10 P 0.5398 0.5001 0.2541  4 O 1.53-1.58
11 P 0.7493 0.2099 0.7516  4 O 1.53-1.57
12 P 0.9597 0.2088 0.2462  4 O 1.52-1.57
13 O 0.0044 0.9687 0.7933  1 P 1.57
14 O 0.0423 0.7735 0.9180  1 P 1.57
15 O 0.0434 0.7219 0.2072  1 P 1.54
16 O 0.1135 0.4178 0.4097  1 P 1.52
17 O 0.2387 0.8616 0.7333  1 P 1.54
18 O 0.2817 0.6269 0.1032  1 P 1.55
19 O 0.3090 0.8265 0.4265  1 P 1.53
20 O 0.3317 0.3437 0.7985  1 P 1.54
21 O 0.3407 0.3157 0.1100  1 P 1.58
22 O 0.3793 0.0062 0.2588  1 P 1.57
23 O 0.3787 0.6203 0.7309  1 P 1.54
24 O 0.4840 0.3720 0.5714  1 P 1.53
25 O 0.5160 0.6280 0.4286  1 P 1.53
26 O 0.6213 0.3797 0.2691  1 P 1.54
27 O 0.6207 0.9938 0.7412  1 P 1.57
28 O 0.6593 0.6843 0.8900  1 P 1.58
29 O 0.6683 0.6563 0.2015  1 P 1.54
30 O 0.6910 0.1735 0.5735  1 P 1.53
31 O 0.7183 0.3731 0.8968  1 P 1.55
32 O 0.7613 0.1384 0.2667  1 P 1.54
33 O 0.8865 0.5822 0.5903  1 P 1.52
34 O 0.9566 0.2781 0.7928  1 P 1.54
35 O 0.9577 0.2265 0.0820  1 P 1.57
36 O 0.9956 0.0313 0.2067  1 P 1.57

## Properties
The value obtained for the energy of formation from the pure elements is -2.527 eV per atom. The space group is P-1 (2). The value obtained for the total magnetic moment is 0.0 μB per cell.

=====

No. 5
A geometry-optimized CsY structure. Source: the Materials Project database, functional PBE.

Cell: 3.8434 3.8434 7.5105 Å, 90.00 90.00 120.00°
Closest atoms and distances in Å follow each position.
Sites, in units of the cell vectors:
1 Cs 0.0000 0.0000 0.0000  6 Cs 3.84
2 Y 0.6667 0.3333 0.5000  6 Y 3.84

## Properties
The value obtained for the energy of formation from the pure elements is 0.717 eV per atom. The space group is P-6m2 (187). The value obtained for the total magnetic moment is 0.0 μB per cell.

=====

No. 6
A geometry-optimized Mg2As2O7 structure. Source: the Materials Project database, functional PBE.

Cell: 5.4620 5.4620 4.8453 Å, 97.99 97.99 105.36°
Closest atoms and distances in Å follow each position.
Sites, in units of the cell vectors:
1 Mg 0.1893 0.8107 0.0000  6 O 2.08-2.23
2 Mg 0.8107 0.1893 0.0000  6 O 2.08-2.23
3 As 0.2639 0.2639 0.6008  4 O 1.70-1.74
4 As 0.7361 0.7361 0.3992  4 O 1.70-1.74
5 O 0.0948 0.0948 0.2742  1 As 1.72
6 O 0.1014 0.4306 0.7931  1 As 1.70
7 O 0.4306 0.1014 0.7931  1 As 1.70
8 O 0.5000 0.5000 0.5000  2 As 1.74
9 O 0.5694 0.8986 0.2069  1 As 1.70
10 O 0.8986 0.5694 0.2069  1 As 1.70
11 O 0.9052 0.9052 0.7258  1 As 1.72

## Properties
The value obtained for the energy of formation from the pure elements is -2.284 eV per atom. The space group is C2/m (12).

=====

No. 7
A geometry-optimized Ca3Ge4 structure. Source: the Materials Project database, functional PBE.

Cell: 8.7891 8.7891 15.2842 Å, 90.00 90.00 120.00°
Closest atoms and distances in Å follow each position.
Sites, in units of the cell vectors:
1 Ca 0.0000 0.0000 0.0000  6 Ge 3.15
2 Ca 0.0000 0.0000 0.2500  3 Ge 3.02
3 Ca 0.0000 0.0000 0.5000  6 Ge 3.15
4 Ca 0.0000 0.0000 0.7500  3 Ge 3.02
5 Ca 0.0909 0.6652 0.1000  7 Ge 3.00-3.25
6 Ca 0.0909 0.6652 0.4000  7 Ge 3.00-3.25
7 Ca 0.3333 0.6667 0.7500  11 Ge 3.04-3.40
8 Ca 0.3348 0.4257 0.1000  7 Ge 3.00-3.25
9 Ca 0.3348 0.4257 0.4000  7 Ge 3.00-3.25
10 Ca 0.4257 0.0909 0.6000  7 Ge 3.00-3.25
11 Ca 0.4257 0.0909 0.9000  7 Ge 3.00-3.25
12 Ca 0.5743 0.9091 0.1000  7 Ge 3.00-3.25
13 Ca 0.5743 0.9091 0.4000  7 Ge 3.00-3.25
14 Ca 0.6652 0.5743 0.6000  7 Ge 3.00-3.25
15 Ca 0.6652 0.5743 0.9000  7 Ge 3.00-3.25
16 Ca 0.6667 0.3333 0.2500  11 Ge 3.04-3.40
17 Ca 0.9091 0.3348 0.6000  7 Ge 3.00-3.25
18 Ca 0.9091 0.3348 0.9000  7 Ge 3.00-3.25
19 Ge 0.0563 0.3685 0.2500  3 Ge 2.52-2.53
20 Ge 0.0888 0.7443 0.6037  2 Ge 2.52-2.68
21 Ge 0.0888 0.7443 0.8963  2 Ge 2.52-2.68
22 Ge 0.2557 0.3445 0.6037  2 Ge 2.52-2.68
23 Ge 0.2557 0.3445 0.8963  2 Ge 2.52-2.68
24 Ge 0.3122 0.9437 0.2500  3 Ge 2.52-2.53
25 Ge 0.3333 0.6667 0.2500  3 Ge 2.53
26 Ge 0.3333 0.6667 0.5510  3 Ge 2.68
27 Ge 0.3333 0.6667 0.9490  3 Ge 2.68
28 Ge 0.3445 0.0888 0.1037  2 Ge 2.52-2.68
29 Ge 0.3445 0.0888 0.3963  2 Ge 2.52-2.68
30 Ge 0.3685 0.3122 0.7500  3 Ge 2.52-2.53
31 Ge 0.6315 0.6878 0.2500  3 Ge 2.52-2.53
32 Ge 0.6555 0.9112 0.6037  2 Ge 2.52-2.68
33 Ge 0.6555 0.9112 0.8963  2 Ge 2.52-2.68
34 Ge 0.6667 0.3333 0.0510  3 Ge 2.68
35 Ge 0.6667 0.3333 0.4490  3 Ge 2.68
36 Ge 0.6667 0.3333 0.7500  3 Ge 2.53
37 Ge 0.6878 0.0563 0.7500  3 Ge 2.52-2.53
38 Ge 0.7443 0.6555 0.1037  2 Ge 2.52-2.68
39 Ge 0.7443 0.6555 0.3963  2 Ge 2.52-2.68
40 Ge 0.9112 0.2557 0.1037  2 Ge 2.52-2.68
41 Ge 0.9112 0.2557 0.3963  2 Ge 2.52-2.68
42 Ge 0.9437 0.6315 0.7500  3 Ge 2.52-2.53

## Properties
The value obtained for the energy of formation from the pure elements is -0.575 eV per atom. The space group is P6_3/m (176). The value obtained for the total magnetic moment is 0.0 μB per cell.